NdY3Zr4O14 | GGA-PBE | relaxed

Output
Formation energy from the elements, eV/atom: -3.58

abc: 7.4840 7.4840 18.0966
angles: 90.00 90.00 120.00
Space group R-3m (No. 166, hexagonal axes)
Unique sites:
1 Nd 0.0000 0.0000 0.0000 (multiplicity 3)
2 Y 0.0000 0.5000 0.5000 (multiplicity 9)
3 Zr 0.0000 0.0000 0.5000 (multiplicity 3)
4 Zr 0.0000 0.5000 0.0000 (multiplicity 9)
5 O 0.0000 0.0000 0.3773 (multiplicity 6)
6 O 0.0038 0.5019 0.8732 (multiplicity 18)
7 O 0.0083 0.5041 0.3745 (multiplicity 18)


LiZrN2 | GGA-PBE | relaxed

Output
Formation energy from the elements, eV/atom: -0.95

abc: 3.301 3.301 5.427
angles: 91.27 90.56 119.98
Space group P1 (No. 1)
Unique sites:
1 Li 0.000 0.000 0.000 (multiplicity 1)
2 Zr 0.321 0.648 0.558 (multiplicity 1)
3 N 0.663 0.326 0.783 (multiplicity 1)
4 N 0.979 0.970 0.369 (multiplicity 1)


In3NO3 | GGA-PBE | relaxed

Output
Formation energy from the elements, eV/atom: -1.36
ΔE to the lowest computed polymorph, meV per atom: 0

abc: 6.5302 6.5302 16.2432
angles: 90.00 90.00 120.00
Space group R-3m (No. 166, hexagonal axes)
Unique sites:
1 In 0.0000 0.0000 0.0000 (multiplicity 3)
2 In 0.0000 0.0000 0.3649 (multiplicity 6)
3 In 0.0000 0.5000 0.5000 (multiplicity 9)
4 N 0.0000 0.0000 0.2337 (multiplicity 6)
5 O 0.0185 0.5092 0.7487 (multiplicity 18)


Si5H6C4N2Cl10 | GGA-PBE | relaxed

Output
Formation energy from the elements, eV/atom: -0.77

abc: 13.659 14.068 13.552
angles: 90.00 90.00 90.00
Space group Pbcn (No. 60)
Unique sites:
1 Si 0.000 0.069 0.250 (multiplicity 4)
2 Si 0.018 0.332 0.163 (multiplicity 8)
3 Si 0.030 0.170 0.110 (multiplicity 8)
4 H 0.102 0.253 0.819 (multiplicity 8)
5 H 0.118 0.336 0.721 (multiplicity 8)
6 H 0.126 0.375 0.846 (multiplicity 8)
7 C 0.142 0.316 0.795 (multiplicity 8)
8 C 0.247 0.298 0.794 (multiplicity 8)
9 N 0.169 0.216 0.292 (multiplicity 8)
10 Cl 0.065 0.142 0.506 (multiplicity 8)
11 Cl 0.085 0.407 0.417 (multiplicity 8)
12 Cl 0.116 0.022 0.776 (multiplicity 8)
13 Cl 0.146 0.406 0.134 (multiplicity 8)
14 Cl 0.166 0.143 0.048 (multiplicity 8)


Ba2GdMgSbO6 | GGA-PBE | relaxed

Output
Formation energy from the elements, eV/atom: -2.52
ΔE to the lowest computed polymorph, meV per atom: 112

abc: 6.204 6.312 9.931
angles: 90.00 90.00 90.00
Space group Immm (No. 71)
Unique sites:
1 Ba 0.000 0.000 0.192 (multiplicity 4)
2 Gd 0.000 0.500 0.000 (multiplicity 2)
3 Mg 0.000 0.000 0.500 (multiplicity 2)
4 Sb 0.000 0.500 0.500 (multiplicity 2)
5 O 0.000 0.500 0.245 (multiplicity 4)
6 O 0.230 0.232 0.500 (multiplicity 8)


Ce5Sn3 | GGA-PBE | relaxed

Output
Formation energy from the elements, eV/atom: -0.51
ΔE to the lowest computed polymorph, meV per atom: 25

abc: 8.339 8.339 13.620
angles: 90.00 90.00 90.00
Space group I4/mcm (No. 140)
Unique sites:
1 Ce 0.000 0.000 0.000 (multiplicity 4)
2 Ce 0.173 0.327 0.156 (multiplicity 16)
3 Sn 0.000 0.000 0.250 (multiplicity 4)
4 Sn 0.128 0.372 0.500 (multiplicity 8)